1.
Li9Co7O16 | GGA+U | optimized geometry

Cell and atoms, written as POSCAR:
```
Li9Co7O16
1.0
9.7045 -2.9102 0.0000
9.7045 2.9102 0.0000
-0.9070 0.0000 5.0396
Li Co O
9 7 16
Direct
0.0000 0.0000 0.0000
0.0000 0.5000 0.0000
0.1247 0.1247 0.7530
0.2453 0.7547 0.5000
0.3752 0.3752 0.2468
0.5000 0.0000 0.0000
0.6248 0.6248 0.7532
0.7547 0.2453 0.5000
0.8753 0.8753 0.2470
0.1245 0.6323 0.7553
0.2502 0.2502 0.4981
0.3677 0.8755 0.2447
0.5000 0.5000 0.0000
0.6323 0.1245 0.7553
0.7498 0.7498 0.5019
0.8755 0.3677 0.2447
0.0643 0.5565 0.3919
0.0691 0.0691 0.3752
0.1856 0.1856 0.1382
0.2127 0.6689 0.1021
0.3163 0.3163 0.8535
0.3311 0.7873 0.8979
0.4406 0.4406 0.6564
0.4435 0.9357 0.6081
0.5565 0.0643 0.3919
0.5594 0.5594 0.3436
0.6689 0.2127 0.1021
0.6837 0.6837 0.1465
0.7873 0.3311 0.8979
0.8144 0.8144 0.8618
0.9309 0.9309 0.6248
0.9357 0.4435 0.6081
```

calculated total energy = -5.57 eV per atom


2.
CaLa3Mn4O12 | GGA+U | optimized geometry

Cell and atoms, written as POSCAR:
```
CaLa3Mn4O12
1.0
5.5619 0.0000 0.0000
0.0537 5.6270 0.0000
0.0357 0.0081 7.7849
Ca La Mn O
1 3 4 12
Direct
0.0000 0.0000 0.0000
0.0224 0.0774 0.5026
0.5075 0.5791 0.5017
0.5199 0.5034 0.0004
0.0127 0.5422 0.7545
0.0129 0.5435 0.2477
0.5131 0.0420 0.2475
0.5136 0.0410 0.7557
0.0892 0.5670 0.0102
0.2430 0.8295 0.2993
0.2436 0.8341 0.7088
0.2880 0.3372 0.7122
0.3024 0.3213 0.2943
0.4218 0.0587 0.0106
0.5939 0.0322 0.4922
0.7197 0.7611 0.2105
0.7351 0.7441 0.7855
0.7861 0.2458 0.7919
0.7870 0.2506 0.2044
0.9409 0.5284 0.4909
```

calculated total energy = -7.79 eV per atom


3.
MgMnSiO5 | GGA+U | optimized geometry

Cell and atoms, written as POSCAR:
```
MgMnSiO5
1.0
-0.9825 1.1949 6.2144
0.8260 6.6335 1.8465
-8.0415 1.4624 -1.5342
Mg Mn Si O
4 4 4 20
Direct
0.2508 0.2384 0.9209
0.7508 0.2383 0.4209
0.2517 0.7424 0.5806
0.7518 0.7423 0.0806
0.7502 0.4940 0.7507
0.2497 0.9941 0.2504
0.2502 0.4940 0.2507
0.7497 0.9940 0.7504
0.2498 0.2435 0.5710
0.7498 0.2435 0.0710
0.2494 0.7442 0.9299
0.7494 0.7442 0.4299
0.2503 0.7435 0.3388
0.7503 0.7435 0.8388
0.2501 0.2444 0.1627
0.7501 0.2444 0.6627
0.1338 0.1182 0.4599
0.6338 0.1182 0.9599
0.3690 0.3668 0.4595
0.8690 0.3668 0.9595
0.3638 0.8723 0.0396
0.8638 0.8723 0.5396
0.1311 0.6215 0.0424
0.6310 0.6216 0.5424
0.4318 0.5756 0.8035
0.9319 0.5756 0.3036
0.0695 0.9094 0.7998
0.5696 0.9093 0.2998
0.0688 0.4120 0.6981
0.5688 0.4120 0.1982
0.4303 0.0766 0.6999
0.9303 0.0765 0.1999
```

calculated total energy = -7.10 eV per atom


4.
SrCrO3 | GGA+U | optimized geometry

Cell and atoms, written as POSCAR:
```
SrCrO3
1.0
13.6856 0.0000 0.0000
0.0000 4.8180 2.7658
0.0000 -4.8180 2.7658
Sr Cr O
6 6 18
Direct
0.0930 0.1669 0.8331
0.2500 0.4965 0.4963
0.4070 0.1669 0.8331
0.5930 0.8331 0.1669
0.7500 0.4963 0.4965
0.9070 0.8331 0.1669
0.0000 0.4943 0.4943
0.1551 0.8233 0.1605
0.3449 0.8233 0.1605
0.5000 0.4943 0.4943
0.6551 0.1605 0.8233
0.8449 0.1605 0.8233
0.0811 0.1804 0.3407
0.0814 0.6712 0.8324
0.0824 0.6745 0.3358
0.2500 0.5147 0.0055
0.2500 0.9857 0.0143
0.2500 0.9868 0.4695
0.4176 0.6745 0.3358
0.4189 0.1804 0.3407
0.4186 0.6712 0.8324
0.5811 0.3407 0.1804
0.5814 0.8324 0.6712
0.5824 0.3358 0.6745
0.7500 0.0055 0.5147
0.7500 0.0143 0.9857
0.7500 0.4695 0.9868
0.9176 0.3358 0.6745
0.9189 0.3407 0.1804
0.9186 0.8324 0.6712
```

calculated total energy = -6.90 eV per atom


5.
Mn5O8 | GGA+U | optimized geometry

Cell and atoms, written as POSCAR:
```
Mn5O8
1.0
2.9980 1.7309 5.1287
-2.9980 1.7309 5.1287
0.0000 -3.4618 5.1287
Mn O
5 8
Direct
0.0000 0.0000 0.0000
0.0000 0.5000 0.5000
0.5000 0.0000 0.5000
0.5000 0.5000 0.0000
0.5000 0.5000 0.5000
0.2479 0.2479 0.7061
0.2479 0.7061 0.2479
0.2694 0.2694 0.2694
0.2939 0.7521 0.7521
0.7061 0.2479 0.2479
0.7306 0.7306 0.7306
0.7521 0.2939 0.7521
0.7521 0.7521 0.2939
```

calculated total energy = -7.39 eV per atom


6.
SrLiLa7Co2O16 | GGA+U | optimized geometry

Cell and atoms, written as POSCAR:
```
SrLiLa7Co2O16
1.0
6.8929 0.0000 0.0000
-2.0661 7.2834 0.0000
-2.0661 -0.6280 7.2588
Sr Li La Co O
1 1 7 2 16
Direct
0.0000 0.0000 0.0000
0.2731 0.8151 0.3209
0.0013 0.0017 0.5100
0.0038 0.4922 0.5085
0.0129 0.4927 0.0010
0.5390 0.1362 0.1313
0.5459 0.1371 0.6426
0.5499 0.6290 0.6467
0.5581 0.6316 0.1401
0.2791 0.8151 0.8228
0.2799 0.3165 0.3238
0.2794 0.3209 0.5659
0.2786 0.8114 0.5794
0.2803 0.5730 0.8184
0.2807 0.0574 0.8243
0.2824 0.0741 0.3242
0.2824 0.5602 0.3279
0.2831 0.8161 0.0668
0.2854 0.3168 0.0835
0.5938 0.8930 0.9010
0.6000 0.3970 0.4043
0.6415 0.9042 0.4154
0.6557 0.4114 0.9164
0.9004 0.2335 0.7142
0.9161 0.7143 0.2439
0.9508 0.7290 0.7364
0.9536 0.2392 0.2464
```

calculated total energy = -7.47 eV per atom


7.
Li9Mn2Co5O16 | GGA+U | optimized geometry

Cell and atoms, written as POSCAR:
```
Li9Mn2Co5O16
1.0
3.0152 0.0000 0.0000
-0.1393 5.0602 0.0000
-1.1172 -0.8371 19.0729
Li Mn Co O
9 2 5 16
Direct
0.0000 0.0000 0.0000
0.0014 0.1242 0.3763
0.0030 0.8772 0.6266
0.0088 0.3705 0.1253
0.4997 0.7504 0.7519
0.5005 0.0007 0.5012
0.5017 0.4987 0.0006
0.5059 0.2469 0.2501
0.9933 0.6276 0.8757
0.0040 0.7531 0.2484
0.4916 0.6226 0.3768
0.0022 0.2451 0.7514
0.0056 0.4976 0.5044
0.4933 0.1225 0.8801
0.5091 0.3766 0.6281
0.5120 0.8776 0.1185
0.0254 0.9607 0.8131
0.0299 0.4530 0.3111
0.0309 0.6975 0.0668
0.0421 0.2075 0.5657
0.4724 0.9216 0.3140
0.4733 0.4016 0.8135
0.4798 0.3325 0.4409
0.4993 0.1574 0.0693
0.5022 0.8424 0.9297
0.5254 0.6620 0.5656
0.5276 0.0858 0.6895
0.5277 0.5930 0.1847
0.9612 0.7914 0.4417
0.9674 0.3019 0.9326
0.9774 0.0456 0.1866
0.9771 0.5374 0.6899
```

calculated total energy = -5.78 eV per atom


8.
MgZn4Co6O16 | GGA+U | optimized geometry

Cell and atoms, written as POSCAR:
```
MgZn4Co6O16
1.0
5.8037 0.0000 0.0000
2.8560 5.1267 0.0000
1.0272 0.2270 9.7617
Mg Zn Co O
1 4 6 16
Direct
0.0000 0.0000 0.0000
0.2259 0.8303 0.3962
0.4771 0.1685 0.8235
0.5428 0.1605 0.4989
0.5571 0.6510 0.9602
0.0194 0.6601 0.7176
0.2392 0.3513 0.2260
0.5236 0.6518 0.6901
0.7498 0.3474 0.2358
0.7525 0.8409 0.2318
0.9976 0.1696 0.7011
0.0683 0.6913 0.1315
0.0703 0.2160 0.1351
0.1877 0.8303 0.6017
0.1988 0.3399 0.6292
0.3043 0.9691 0.8645
0.3251 0.5354 0.8273
0.4142 0.4650 0.3388
0.4231 0.0199 0.3424
0.6139 0.6651 0.1442
0.6325 0.1720 0.1190
0.7083 0.3221 0.5991
0.7150 0.8151 0.6202
0.8478 0.4806 0.8213
0.8588 0.9658 0.8266
0.8617 0.0260 0.3384
0.8812 0.5237 0.3357
```

calculated total energy = -5.33 eV per atom


9.
MgMoOsPb2O6 | GGA+U | optimized geometry

Cell and atoms, written as POSCAR:
```
MgMoOsPb2O6
1.0
5.8832 0.0000 0.0000
-2.7858 5.3818 0.0000
-2.7694 -1.5031 5.7107
Mg Mo Os Pb O
1 1 1 2 6
Direct
0.0000 0.0000 0.0000
0.6286 0.8179 0.4546
0.8295 0.4207 0.2495
0.2942 0.5839 0.9511
0.4976 0.2691 0.6942
0.2555 0.6249 0.4354
0.3852 0.2170 0.0260
0.7929 0.5964 0.4864
0.8009 0.6520 0.0239
0.8233 0.1555 0.4204
0.8703 0.2452 0.0070
```

calculated total energy = -6.26 eV per atom


10.
MgMn6O8F4 | GGA+U | optimized geometry

Cell and atoms, written as POSCAR:
```
MgMn6O8F4
1.0
5.8130 0.0000 0.0000
-2.4411 5.3956 0.0000
-1.1641 -2.8588 7.0695
Mg Mn O F
1 6 8 4
Direct
0.0000 0.0000 0.0000
0.3091 0.5143 0.3449
0.3385 0.9168 0.7834
0.6235 0.0192 0.1904
0.6349 0.4693 0.6484
0.9785 0.9846 0.4962
0.9831 0.4863 0.0044
0.0045 0.1436 0.2958
0.2353 0.3876 0.0734
0.2564 0.8375 0.0134
0.3507 0.1376 0.6357
0.4030 0.6169 0.6141
0.6070 0.8503 0.3717
0.7041 0.1204 0.9707
0.9554 0.8272 0.7003
0.0328 0.6609 0.3035
0.5660 0.3284 0.3536
0.7335 0.6305 0.9616
0.8892 0.3390 0.6996
```

calculated total energy = -6.86 eV per atom


11.
FeH9C4N3O6 | GGA+U | optimized geometry

Cell and atoms, written as POSCAR:
```
FeH9C4N3O6
1.0
8.6601 0.0000 0.0000
0.0000 12.0135 0.0000
0.0000 0.0000 9.0262
Fe H C N O
4 36 16 12 24
Direct
0.2501 0.2500 0.2500
0.2499 0.7500 0.2500
0.7501 0.2500 0.7500
0.7499 0.7500 0.7500
0.0869 0.1227 0.7433
0.0869 0.3773 0.7567
0.0906 0.7158 0.9266
0.0906 0.7842 0.5734
0.1725 0.0792 0.5729
0.1725 0.4208 0.9271
0.1905 0.0602 0.9648
0.1905 0.4398 0.5352
0.2500 0.0000 0.1815
0.2500 0.5000 0.3185
0.3095 0.5602 0.5352
0.3095 0.9398 0.9648
0.3275 0.5792 0.9271
0.3275 0.9208 0.5729
0.4094 0.2158 0.5734
0.4094 0.2842 0.9266
0.4131 0.6227 0.7567
0.4131 0.8773 0.7433
0.5869 0.1227 0.2567
0.5869 0.3773 0.2433
0.5906 0.7158 0.0734
0.5906 0.7842 0.4266
0.6725 0.0792 0.4271
0.6725 0.4208 0.0729
0.6905 0.0602 0.0352
0.6905 0.4398 0.4648
0.7500 0.0000 0.8185
0.7500 0.5000 0.6815
0.8095 0.5602 0.4648
0.8095 0.9398 0.0352
0.8275 0.5792 0.0729
0.8275 0.9208 0.4271
0.9094 0.2158 0.4266
0.9094 0.2842 0.0734
0.9131 0.6227 0.2433
0.9131 0.8773 0.2567
0.0182 0.7221 0.5146
0.0182 0.7779 0.9854
0.2500 0.0000 0.3036
0.2500 0.0000 0.7599
0.2500 0.5000 0.1964
0.2500 0.5000 0.7401
0.4818 0.2221 0.9854
0.4818 0.2779 0.5146
0.5182 0.7221 0.4854
0.5182 0.7779 0.0146
0.7500 0.0000 0.2401
0.7500 0.0000 0.6964
0.7500 0.5000 0.2599
0.7500 0.5000 0.8036
0.9818 0.2221 0.0146
0.9818 0.2779 0.4854
0.1620 0.0730 0.6857
0.1620 0.4270 0.8143
0.2500 0.0000 0.9078
0.2500 0.5000 0.5922
0.3380 0.5730 0.8143
0.3380 0.9270 0.6857
0.6620 0.0730 0.3143
0.6620 0.4270 0.1857
0.7500 0.0000 0.0922
0.7500 0.5000 0.4078
0.8380 0.5730 0.1857
0.8380 0.9270 0.3143
0.0586 0.6933 0.3850
0.0586 0.8067 0.1150
0.1004 0.1843 0.0804
0.1004 0.3157 0.4196
0.2420 0.0934 0.3695
0.2420 0.4066 0.1305
0.2580 0.5934 0.1305
0.2580 0.9066 0.3695
0.3996 0.6843 0.4196
0.3996 0.8157 0.0804
0.4414 0.1933 0.1150
0.4414 0.3067 0.3850
0.5586 0.6933 0.6150
0.5586 0.8067 0.8850
0.6004 0.1843 0.9196
0.6004 0.3157 0.5804
0.7420 0.0934 0.6305
0.7420 0.4066 0.8695
0.7580 0.5934 0.8695
0.7580 0.9066 0.6305
0.8996 0.6843 0.5804
0.8996 0.8157 0.9196
0.9414 0.1933 0.8850
0.9414 0.3067 0.6150
```

calculated total energy = -6.30 eV per atom